# 1
Ta2MoS6: optimized geometry, GGA-PBE.

Summary:
- formation energy (meV per atom) = -1306
- SG = Cm (8)
- mass density (g/cm3) = 5.97
- magnetization (μB per formula unit) = 0.00
- V (Å³/cell) = 181
- VASP energy (eV/atom) = -7.569

a = 5.7148 Å, b = 5.7148 Å, c = 6.6723 Å
α = 98.22°, β = 98.22°, γ = 120.00°
Sites, in units of the cell vectors:
Ta1 0.1667 0.8333 0.0000
Ta2 0.8333 0.1667 0.0000
Mo1 0.5000 0.5000 0.9999
S1 0.0897 0.4185 0.7560
S2 0.2528 0.5815 0.2443
S3 0.4185 0.0897 0.7560
S4 0.5815 0.2528 0.2443
S5 0.7475 0.7475 0.7561
S6 0.9103 0.9103 0.2442

=====

# 2
Ba6CaNb2IrCl2O12: optimized geometry, GGA-PBE.

Summary:
- formation energy (meV per atom) = -2677
- SG = P-3m1 (164)
- mass density (g/cm3) = 5.14
- magnetization (μB per formula unit) = 1.00
- V (Å³/cell) = 487
- VASP energy (eV/atom) = -6.735
- relative energy among the computed polymorphs (meV/atom) = 157

a = 6.0755 Å, b = 6.0755 Å, c = 15.2218 Å
α = 90.00°, β = 90.00°, γ = 120.00°
Sites, in units of the cell vectors:
Ba1 0.3333 0.6667 0.0662
Ba2 0.3333 0.6667 0.3530
Ba3 0.3333 0.6667 0.7959
Ba4 0.6667 0.3333 0.2041
Ba5 0.6667 0.3333 0.6470
Ba6 0.6667 0.3333 0.9338
Ca1 0.0000 0.0000 0.5000
Nb1 0.0000 0.0000 0.1818
Nb2 0.0000 0.0000 0.8182
Ir1 0.0000 0.0000 0.0000
Cl1 0.3333 0.6667 0.5700
Cl2 0.6667 0.3333 0.4300
O1 0.1546 0.3092 0.9167
O2 0.1546 0.8454 0.9167
O3 0.1603 0.3206 0.2412
O4 0.1603 0.8397 0.2412
O5 0.3092 0.1546 0.0833
O6 0.3206 0.1603 0.7588
O7 0.6794 0.8397 0.2412
O8 0.6908 0.8454 0.9167
O9 0.8397 0.1603 0.7588
O10 0.8397 0.6794 0.7588
O11 0.8454 0.1546 0.0833
O12 0.8454 0.6908 0.0833

=====

# 3
La2MgIrO6: optimized geometry, GGA-PBE.

Summary:
- formation energy (meV per atom) = -2943
- SG = P2_1/c (14)
- mass density (g/cm3) = 7.69
- magnetization (μB per formula unit) = 1.00
- V (Å³/cell) = 255
- VASP energy (eV/atom) = -7.531

a = 5.5984 Å, b = 5.7175 Å, c = 9.7287 Å
α = 90.00°, β = 125.06°, γ = 90.00°
Sites, in units of the cell vectors:
La1 0.2383 0.0486 0.2492
La2 0.2383 0.4514 0.7492
La3 0.7617 0.5486 0.2508
La4 0.7617 0.9514 0.7508
Mg1 0.0000 0.0000 0.5000
Mg2 0.0000 0.5000 0.0000
Ir1 0.5000 0.0000 0.0000
Ir2 0.5000 0.5000 0.5000
O1 0.1612 0.2057 0.9530
O2 0.1612 0.2943 0.4530
O3 0.2507 0.7110 0.9528
O4 0.2507 0.7890 0.4528
O5 0.3391 0.0229 0.7519
O6 0.3391 0.4771 0.2519
O7 0.6609 0.5229 0.7481
O8 0.6609 0.9771 0.2481
O9 0.7493 0.2110 0.5472
O10 0.7493 0.2890 0.0472
O11 0.8388 0.7057 0.5470
O12 0.8388 0.7943 0.0470